First-principles (r²SCAN) data for a geometry-optimized ThSi2Pt2 structure, as listed in the Materials Project database.

a b c (Å): 4.2760 4.2760 9.8046
angles (deg): 90.00 90.00 90.00
Closest atoms and distances in Å follow each position.
Fractional coordinates of all 10 atoms:
Th (0.2500, 0.2500, 0.2500)  8 Si 3.24-3.25, 9 Pt 3.25-3.62
Th (0.7500, 0.7500, 0.7500)  8 Si 3.24-3.25, 9 Pt 3.25-3.62
Si (0.2500, 0.2500, 0.6320)  5 Pt 2.44-2.50
Si (0.2500, 0.7500, 0.0000)  4 Pt 2.44
Si (0.7500, 0.2500, 0.0000)  4 Pt 2.44
Si (0.7500, 0.7500, 0.3680)  5 Pt 2.44-2.50
Pt (0.2500, 0.2500, 0.8809)  5 Si 2.44
Pt (0.2500, 0.7500, 0.5000)  4 Si 2.50
Pt (0.7500, 0.2500, 0.5000)  4 Si 2.50
Pt (0.7500, 0.7500, 0.1191)  5 Si 2.44

Computed properties:
Crystal system: tetragonal
Raw total energy in eV/cell: -400.0
Space group: P4/nmm
Formation energy in meV/atom: -1201.7
Theoretical density in Mg/m³: 12.567

---

First-principles (r²SCAN) data for a geometry-optimized SmAg3 structure, as listed in the Materials Project database.

a b c (Å): 6.4316 6.4316 4.7912
angles (deg): 90.00 90.00 120.00
Closest atoms and distances in Å follow each position.
Fractional coordinates of all 8 atoms:
Sm (0.3333, 0.6667, 0.2500)  12 Ag 3.14-3.22
Sm (0.6667, 0.3333, 0.7500)  12 Ag 3.14-3.22
Ag (0.1508, 0.3017, 0.7500)  6 Ag 2.91-2.93, 4 Sm 3.14-3.22
Ag (0.1508, 0.8492, 0.7500)  6 Ag 2.91-2.93, 4 Sm 3.14-3.22
Ag (0.3017, 0.1508, 0.2500)  6 Ag 2.91-2.93, 4 Sm 3.14-3.22
Ag (0.6983, 0.8492, 0.7500)  6 Ag 2.91-2.93, 4 Sm 3.14-3.22
Ag (0.8492, 0.1508, 0.2500)  6 Ag 2.91-2.93, 4 Sm 3.14-3.22
Ag (0.8492, 0.6983, 0.2500)  6 Ag 2.91-2.93, 4 Sm 3.14-3.22

Computed properties:
Crystal system: hexagonal
Raw total energy in eV/cell: -189.2
Space group: P6_3/mmc
Formation energy in meV/atom: -203.2
Theoretical density in Mg/m³: 9.171

---

First-principles (r²SCAN) data for a geometry-optimized SiO2 structure, as listed in the Materials Project database.

a b c (Å): 8.2771 5.0551 5.0551
angles (deg): 121.21 90.00 90.00
Closest atoms and distances in Å follow each position.
Fractional coordinates of all 12 atoms:
Si (0.0627, 0.1642, 0.8358)  4 O 1.61
Si (0.4373, 0.1642, 0.8358)  4 O 1.61
Si (0.5627, 0.8358, 0.1642)  4 O 1.61
Si (0.9373, 0.8358, 0.1642)  4 O 1.61
O (0.0000, 0.0990, 0.0990)  2 Si 1.61
O (0.0433, 0.5275, 0.9609)  2 Si 1.61
O (0.2500, 0.0692, 0.7568)  2 Si 1.61
O (0.4567, 0.5275, 0.9609)  2 Si 1.61
O (0.5000, 0.0990, 0.0990)  2 Si 1.61
O (0.5433, 0.9609, 0.5275)  2 Si 1.61
O (0.7500, 0.7568, 0.0692)  2 Si 1.61
O (0.9567, 0.9609, 0.5275)  2 Si 1.61

Computed properties:
Crystal system: orthorhombic
Raw total energy in eV/cell: -119.2
Space group: Ama2
Formation energy in meV/atom: -3030.4
Theoretical density in Mg/m³: 2.206